(1)
CaSmCuClO3 (GGA-PBE, relaxed); total moment = 0.0000 μB per atom; energy of formation from the pure elements = -2630.0 meV per atom; DFT total energy = -6.266 eV/atom
1.0
3.922 0.000 0.000
0.000 3.922 0.000
0.000 0.000 13.571
O Ca Cu Sm Cl
6 2 2 2 2
Cartesian
0.000 0.000 6.786
1.961 1.961 9.846
1.961 1.961 6.786
1.961 1.961 3.725
0.000 0.000 3.725
0.000 0.000 9.846
1.961 0.000 2.185
0.000 1.961 11.386
0.000 1.961 3.762
1.961 0.000 9.809
0.000 1.961 7.994
1.961 0.000 5.577
0.000 1.961 1.004
1.961 0.000 12.567


(2)
CsGd2Ag3Se5 (GGA-PBE, relaxed); energy of formation from the pure elements = -1353.7 meV per atom; DFT total energy = -6.141 eV/atom
1.0
2.181 -7.835 0.000
2.181 7.835 0.000
0.000 0.000 17.748
Se Ag Cs Gd
10 6 2 4
Cartesian
2.181 -6.769 6.809
2.181 2.831 16.506
2.181 3.950 4.437
2.181 -3.950 13.311
2.181 2.831 10.116
2.181 -6.769 2.065
2.181 -2.831 7.632
2.181 -2.831 1.242
2.181 6.769 15.683
2.181 6.769 10.939
2.181 6.532 8.150
2.181 -6.532 9.598
2.181 6.532 0.724
2.181 5.389 13.311
2.181 -5.389 4.437
2.181 -6.532 17.024
2.181 -0.971 4.437
2.181 0.971 13.311
2.181 3.016 7.189
2.181 -3.016 10.559
2.181 -3.016 16.063
2.181 3.016 1.685


(3)
Sb2SNF11 (GGA-PBE, relaxed); total moment = 0.0000 μB per atom; energy of formation from the pure elements = -2181.6 meV per atom; DFT total energy = -4.629 eV/atom
1.0
-8.835 -6.608 4.850
5.579 -4.063 4.627
-0.819 6.870 7.869
F N S Sb
44 4 4 8
Cartesian
-0.839 -4.960 6.186
-1.729 -0.733 10.068
-3.972 -5.004 14.535
2.651 -1.198 3.954
-4.907 -1.481 6.952
-7.247 -2.737 7.780
0.693 -0.519 8.368
0.832 -2.321 10.394
-1.789 -8.385 9.627
-0.010 -0.763 4.829
2.533 -1.947 7.008
-4.336 -0.666 9.504
-8.002 -0.055 12.361
2.301 2.131 10.431
-1.576 -3.879 9.729
-1.363 1.966 9.282
-4.759 -4.212 5.613
-1.106 -4.134 12.963
2.873 1.558 7.858
-6.376 -5.933 6.914
-6.608 -1.854 10.337
-6.725 -2.604 13.392
-2.711 -5.767 8.064
0.261 -3.136 7.842
3.928 -3.746 4.985
-2.968 0.332 4.383
-4.065 -3.039 12.517
-6.947 -5.359 9.488
0.610 -1.338 2.200
-2.286 4.584 7.718
0.052 -5.734 8.616
1.295 -3.810 4.328
-6.329 1.691 10.986
-5.369 0.008 13.018
0.684 0.411 11.733
-3.236 1.158 11.160
3.172 -1.065 9.565
-4.127 1.933 8.730
-4.767 -3.283 8.978
-0.103 1.202 2.811
-2.499 0.078 7.617
-4.685 -2.464 15.146
-2.345 -3.069 7.278
2.255 -5.492 6.359
-0.063 2.565 6.571
-2.188 -2.765 4.028
-1.886 -1.036 13.318
-4.011 -6.367 10.775
-3.031 -2.192 5.033
0.131 3.914 7.007
-4.206 -7.716 10.339
-1.044 -1.610 12.313
1.838 1.773 12.422
-5.222 -3.729 13.844
1.758 -2.028 8.756
-1.287 -4.526 7.974
1.147 -0.073 3.502
-5.913 -5.575 4.924
-2.788 0.725 9.372
-5.833 -1.774 8.589


(4)
Mg3Si (GGA-PBE, relaxed); total moment = 0.0002 μB per atom; energy of formation from the pure elements = 106.0 meV per atom; DFT total energy = -2.468 eV/atom
1.0
3.127 0.000 0.000
0.000 4.935 0.000
0.000 0.000 5.196
Mg Si
3 1
Cartesian
0.000 0.000 3.470
0.000 2.468 1.696
1.564 2.468 4.372
1.564 0.000 0.854


(5)
Na12Ca2Ta4Si9O36 (GGA-PBE, relaxed); total moment = 0.0000 μB per atom; energy of formation from the pure elements = -2960.1 meV per atom; DFT total energy = -7.238 eV/atom
1.0
9.248 0.000 0.000
-4.624 8.009 0.000
0.000 0.000 22.661
O Na Si Ta Ca
72 24 18 8 4
Cartesian
5.670 1.343 0.615
3.063 2.998 9.618
3.845 6.233 7.072
-0.795 3.918 12.918
3.578 1.343 11.946
1.148 1.562 18.402
0.596 6.918 8.139
-0.744 1.626 20.885
6.641 3.120 14.515
1.665 5.066 19.469
-0.634 1.555 4.392
7.670 0.192 2.008
5.403 6.233 18.402
2.608 3.120 3.185
5.247 6.547 2.008
-2.844 7.841 20.885
3.746 1.191 5.548
6.343 2.649 5.548
-0.814 3.918 22.068
4.128 1.153 20.948
0.488 3.846 17.121
3.588 6.552 20.885
6.186 2.998 20.948
-1.050 6.508 5.790
1.629 5.362 12.918
-2.961 7.781 4.392
1.069 4.034 8.139
-1.629 5.362 1.587
3.595 6.683 4.392
0.834 6.739 1.587
5.689 3.858 9.618
3.226 4.191 14.515
1.537 5.664 5.790
3.783 4.169 5.548
-1.665 5.066 8.139
0.795 3.918 1.587
4.001 6.547 13.338
1.578 0.192 13.338
-3.588 6.552 9.554
-3.595 6.683 15.723
0.824 6.755 10.738
0.634 1.555 15.723
2.905 2.649 16.879
-1.069 4.034 19.469
1.638 5.346 22.068
2.961 7.781 15.723
5.242 0.698 3.185
3.998 4.239 11.946
0.744 1.626 9.554
1.927 0.213 7.072
6.022 4.191 3.185
8.100 1.562 7.072
-0.834 6.739 12.918
4.006 0.698 14.515
-0.596 6.918 19.469
7.321 0.213 18.402
5.502 1.191 16.879
-1.537 5.664 17.121
5.465 4.169 16.879
6.296 2.428 11.946
0.955 1.271 2.008
2.952 2.428 0.615
5.121 1.153 9.618
8.293 1.271 13.338
2.844 7.841 9.554
-1.638 5.346 10.738
5.251 4.239 0.615
1.050 6.508 17.121
0.814 3.918 10.738
3.559 3.858 20.948
-0.824 6.755 22.068
-0.488 3.846 5.790
0.000 0.000 11.222
-1.324 2.687 1.964
1.324 2.687 13.294
4.624 2.670 7.284
2.763 0.279 9.266
1.635 7.812 13.294
2.959 5.519 1.964
-1.635 7.812 1.964
5.764 5.477 20.597
0.000 0.000 22.552
3.086 4.982 16.922
3.391 0.181 16.922
7.396 2.846 16.922
3.484 5.477 9.266
7.625 2.253 9.266
4.624 2.670 18.614
0.000 5.339 15.161
1.852 2.846 5.591
6.486 0.279 20.597
1.623 2.253 20.597
5.857 0.181 5.591
0.000 5.339 3.830
6.162 4.982 5.591
-2.959 5.519 13.294
3.219 5.655 5.733
3.238 5.077 13.200
1.336 2.394 17.063
2.661 5.254 20.795
1.256 7.687 9.465
7.401 2.666 13.200
-1.336 2.394 5.733
3.232 0.266 13.200
1.405 3.078 9.465
-2.661 5.254 9.465
-3.219 5.655 17.063
-1.256 7.687 20.795
-1.883 7.969 5.733
-1.405 3.078 20.795
1.847 2.666 1.870
6.010 5.077 1.870
1.883 7.969 17.063
6.016 0.266 1.870
4.624 2.670 22.219
0.000 0.000 14.728
0.000 5.339 18.401
0.000 5.339 0.413
0.000 5.339 11.744
0.000 0.000 3.397
0.000 5.339 7.071
4.624 2.670 10.888
0.000 0.000 8.017
4.624 2.670 4.054
4.624 2.670 15.384
0.000 0.000 19.348


(6)
ZrU9O20 (GGA-PBE, relaxed); total moment = 0.6000 μB per atom; energy of formation from the pure elements = -3732.8 meV per atom; DFT total energy = -10.246 eV/atom
1.0
-4.537 4.533 1.585
-3.796 -6.184 -2.362
2.295 -2.089 7.945
Zr O U
1 20 9
Cartesian
0.000 0.000 0.000
-0.646 0.530 5.827
-6.942 -0.823 0.821
-0.086 -1.547 4.194
-5.392 -4.271 1.341
-3.495 -1.170 2.530
-4.057 0.903 4.157
-1.589 -3.960 6.738
0.904 -2.917 6.347
-6.398 -2.851 -0.762
-4.992 2.348 2.032
-5.952 -2.193 2.974
-1.009 -0.155 2.026
-1.981 -4.643 3.011
-4.449 0.219 0.430
-3.114 -0.482 6.273
-2.542 -2.570 4.638
-1.046 -6.088 5.136
0.361 -0.889 7.930
-5.029 -3.586 5.142
-2.923 -3.258 0.895
-3.020 -4.814 5.108
-2.633 1.754 5.816
-4.536 -1.345 4.630
-3.405 -5.494 1.352
-1.898 -3.092 -1.181
-1.502 -2.395 2.538
-3.017 1.073 2.060
-4.937 -2.025 0.880
-1.101 -1.715 6.288


(7)
LuAl3Ni2 (GGA-PBE, relaxed); energy of formation from the pure elements = -655.5 meV per atom; DFT total energy = -5.209 eV/atom
1.0
1.455 7.653 4.389
-7.533 -4.604 1.419
1.806 -2.041 2.961
Ni Al Lu
6 9 3
Cartesian
-0.845 1.957 1.864
-0.188 5.412 3.846
-2.489 -0.284 1.321
-5.889 -2.363 1.962
-5.232 1.092 3.943
-3.588 3.333 4.486
1.335 1.253 2.784
-4.392 -4.257 2.478
-3.369 1.122 5.563
0.728 3.827 2.194
-3.766 -2.302 0.709
-3.039 1.524 2.904
1.926 4.359 4.565
-1.335 -2.389 1.902
-0.903 -0.115 3.206
0.000 0.000 0.000
-3.634 -1.539 3.889
-0.638 2.547 4.879


(8)
Ti7Cl16 (GGA-PBE, relaxed); energy of formation from the pure elements = -1928.3 meV per atom; DFT total energy = -5.190 eV/atom
1.0
6.869 0.000 0.000
0.000 10.067 0.000
0.000 0.000 14.556
Ti Cl
14 32
Cartesian
5.472 7.593 5.291
3.435 4.645 3.449
0.000 9.679 3.829
0.000 0.389 10.727
4.831 7.509 12.569
4.831 2.559 1.987
5.472 2.475 9.265
2.038 2.559 1.987
0.000 0.000 0.000
1.397 2.475 9.265
3.435 5.034 7.278
2.038 7.509 12.569
1.397 7.593 5.291
3.435 5.422 11.107
0.000 2.435 0.270
1.716 9.923 5.421
5.153 0.145 9.135
5.184 0.045 12.688
0.000 2.259 3.584
3.435 2.599 7.548
0.000 7.633 14.286
5.153 9.923 5.421
1.749 5.078 9.146
1.719 5.178 12.699
5.120 5.078 9.146
5.120 4.989 5.410
1.749 4.989 5.410
3.435 7.747 10.632
0.000 7.483 7.176
5.150 4.889 1.857
0.000 2.714 11.202
1.719 4.889 1.857
3.435 7.468 7.008
3.435 7.293 3.694
1.716 0.145 9.135
0.000 7.354 3.354
3.435 7.618 14.454
5.150 5.178 12.699
5.184 10.023 1.868
3.435 2.320 3.924
0.000 7.808 10.972
3.435 2.774 10.862
0.000 2.585 7.380
3.435 2.449 0.102
1.686 0.045 12.688
1.686 10.023 1.868